Density functional theory data (PBE) for an optimized crystal structure of CsTbCdSe3.

## Properties
Uncorrected energy (eV per atom): -4.1810
Symmetry: No. 63

Cell: 8.4733 8.4733 11.2376 Å, 90.00 90.00 150.46°
With the nearest neighbours (Å) after each atom.
Atoms (fractional coordinates):
Cs (0.2444, 0.7556, 0.7500)  8 Se 3.71-3.93
Cs (0.7556, 0.2444, 0.2500)  8 Se 3.71-3.93
Tb (0.5000, 0.5000, 0.0000)  6 Se 2.93-2.98
Tb (0.5000, 0.5000, 0.5000)  6 Se 2.93-2.98
Cd (0.0390, 0.9610, 0.2500)  4 Se 2.63-2.71
Cd (0.9610, 0.0390, 0.7500)  4 Se 2.63-2.71
Se (0.1169, 0.8831, 0.0460)  1 Cd 2.63, 2 Tb 2.93
Se (0.1169, 0.8831, 0.4540)  1 Cd 2.63, 2 Tb 2.93
Se (0.4394, 0.5606, 0.2500)  2 Cd 2.71, 2 Tb 2.98
Se (0.5606, 0.4394, 0.7500)  2 Cd 2.71, 2 Tb 2.98
Se (0.8831, 0.1169, 0.5460)  1 Cd 2.63, 2 Tb 2.93
Se (0.8831, 0.1169, 0.9540)  1 Cd 2.63, 2 Tb 2.93

Density functional theory data (PBE) for an optimized crystal structure of Sm2MgSe4.

## Properties
Uncorrected energy (eV per atom): -5.2449
Offset from the most stable computed form (meV/atom): 0
Symmetry: No. 29

Cell: 13.4744 8.0587 13.5948 Å, 90.00 90.00 90.00°
With the nearest neighbours (Å) after each atom.
Atoms (fractional coordinates):
Sm (0.1079, 0.1167, 0.0000)  6 Se 2.87-2.94
Sm (0.1275, 0.6182, 0.6410)  6 Se 2.86-2.98
Sm (0.1335, 0.3715, 0.3062)  7 Se 2.92-3.18
Sm (0.1342, 0.8712, 0.3072)  7 Se 2.91-3.22
Sm (0.3665, 0.3715, 0.8062)  7 Se 2.92-3.18
Sm (0.3658, 0.8712, 0.8072)  7 Se 2.91-3.22
Sm (0.3725, 0.6182, 0.1410)  6 Se 2.86-2.98
Sm (0.3921, 0.1167, 0.5000)  6 Se 2.87-2.94
Sm (0.6079, 0.8833, 0.0000)  6 Se 2.87-2.94
Sm (0.6275, 0.3818, 0.6410)  6 Se 2.86-2.98
Sm (0.6342, 0.1288, 0.3072)  7 Se 2.91-3.22
Sm (0.6335, 0.6285, 0.3062)  7 Se 2.92-3.18
Sm (0.8658, 0.1288, 0.8072)  7 Se 2.91-3.22
Sm (0.8665, 0.6285, 0.8062)  7 Se 2.92-3.18
Sm (0.8725, 0.3818, 0.1410)  6 Se 2.86-2.98
Sm (0.8921, 0.8833, 0.5000)  6 Se 2.87-2.94
Mg (0.1113, 0.6171, 0.0067)  5 Se 2.66-2.86
Mg (0.1264, 0.1212, 0.6347)  6 Se 2.68-2.92
Mg (0.3736, 0.1212, 0.1347)  6 Se 2.68-2.92
Mg (0.3887, 0.6171, 0.5067)  5 Se 2.66-2.86
Mg (0.6113, 0.3829, 0.0067)  5 Se 2.66-2.86
Mg (0.6264, 0.8788, 0.6347)  6 Se 2.68-2.92
Mg (0.8736, 0.8788, 0.1347)  6 Se 2.68-2.92
Mg (0.8887, 0.3829, 0.5067)  5 Se 2.66-2.86
Se (0.0112, 0.1201, 0.1938)  1 Mg 2.80, 4 Sm 2.91-3.03
Se (0.0231, 0.6286, 0.1820)  2 Mg 2.66-2.92, 1 Sm 2.90
Se (0.0316, 0.6202, 0.4437)  1 Mg 2.85, 4 Sm 2.94-3.07
Se (0.0445, 0.1284, 0.4529)  2 Mg 2.71-3.02, 1 Sm 2.92
Se (0.2100, 0.1209, 0.8138)  1 Mg 2.68, 3 Sm 2.88-2.92
Se (0.2108, 0.6200, 0.8366)  1 Mg 2.67, 3 Sm 2.89-2.94
Se (0.2303, 0.3676, 0.0929)  2 Mg 2.83, 2 Sm 2.86-2.90
Se (0.2322, 0.8714, 0.0911)  2 Mg 2.83-2.86, 2 Sm 2.86-2.87
Se (0.2678, 0.8714, 0.5911)  2 Mg 2.83-2.86, 2 Sm 2.86-2.87
Se (0.2697, 0.3676, 0.5929)  2 Mg 2.83, 2 Sm 2.86-2.90
Se (0.2892, 0.6200, 0.3366)  1 Mg 2.67, 3 Sm 2.89-2.94
Se (0.2900, 0.1209, 0.3138)  1 Mg 2.68, 3 Sm 2.88-2.92
Se (0.4555, 0.1284, 0.9529)  2 Mg 2.71-3.02, 1 Sm 2.92
Se (0.4684, 0.6202, 0.9437)  1 Mg 2.85, 4 Sm 2.94-3.07
Se (0.4769, 0.6286, 0.6820)  2 Mg 2.66-2.92, 1 Sm 2.90
Se (0.4888, 0.1201, 0.6938)  1 Mg 2.80, 4 Sm 2.91-3.03
Se (0.5112, 0.8799, 0.1938)  1 Mg 2.80, 4 Sm 2.91-3.03
Se (0.5231, 0.3714, 0.1820)  2 Mg 2.66-2.92, 1 Sm 2.90
Se (0.5316, 0.3798, 0.4437)  1 Mg 2.85, 4 Sm 2.94-3.07
Se (0.5445, 0.8716, 0.4529)  2 Mg 2.71-3.02, 1 Sm 2.92
Se (0.7100, 0.8791, 0.8138)  1 Mg 2.68, 3 Sm 2.88-2.92
Se (0.7108, 0.3800, 0.8366)  1 Mg 2.67, 3 Sm 2.89-2.94
Se (0.7303, 0.6324, 0.0929)  2 Mg 2.83, 2 Sm 2.86-2.90
Se (0.7322, 0.1286, 0.0911)  2 Mg 2.83-2.86, 2 Sm 2.86-2.87
Se (0.7678, 0.1286, 0.5911)  2 Mg 2.83-2.86, 2 Sm 2.86-2.87
Se (0.7697, 0.6324, 0.5929)  2 Mg 2.83, 2 Sm 2.86-2.90
Se (0.7892, 0.3800, 0.3366)  1 Mg 2.67, 3 Sm 2.89-2.94
Se (0.7900, 0.8791, 0.3138)  1 Mg 2.68, 3 Sm 2.88-2.92
Se (0.9555, 0.8716, 0.9529)  2 Mg 2.71-3.02, 1 Sm 2.92
Se (0.9684, 0.3798, 0.9437)  1 Mg 2.85, 4 Sm 2.94-3.07
Se (0.9769, 0.3714, 0.6820)  2 Mg 2.66-2.92, 1 Sm 2.90
Se (0.9888, 0.8799, 0.6938)  1 Mg 2.80, 4 Sm 2.91-3.03